Record 1
# GGA+U Li9Mn2Co5O16, optimized geometry
data_Li9Mn2Co5O16
_chemical_formula_sum 'Li18 Mn4 Co10 O32'
_cell_length_a 21.102
_cell_length_b 2.892
_cell_length_c 10.263
_cell_angle_alpha 90.00
_cell_angle_beta 113.04
_cell_angle_gamma 90.00
_space_group_name_H-M_alt 'C 1 m 1'
_space_group_IT_number 8
loop_
_space_group_symop_operation_xyz
'x,y,z'
'x,-y,z'
'x+1/2,y+1/2,z'
'x+1/2,-y+1/2,z'
loop_
_atom_site_label
_atom_site_type_symbol
_atom_site_fract_x
_atom_site_fract_y
_atom_site_fract_z
Li1 Li 0.000 0.000 0.000
Li2 Li 0.000 0.500 0.255
Li3 Li 0.004 0.500 0.773
Li4 Li 0.128 0.000 0.946
Li5 Li 0.246 0.500 0.132
Li6 Li 0.250 0.000 0.887
Li7 Li 0.251 0.000 0.373
Li8 Li 0.256 0.500 0.636
Li9 Li 0.497 0.500 0.510
Mn1 Mn 0.127 0.000 0.445
Mn2 Mn 0.128 0.500 0.705
Co1 Co 0.122 0.500 0.169
Co2 Co 0.375 0.000 0.819
Co3 Co 0.375 0.500 0.071
Co4 Co 0.377 0.000 0.321
Co5 Co 0.377 0.500 0.571
O1 O 0.063 0.500 0.989
O2 O 0.070 0.000 0.719
O3 O 0.073 0.500 0.484
O4 O 0.074 0.000 0.249
O5 O 0.179 0.000 0.656
O6 O 0.183 0.500 0.426
O7 O 0.184 0.500 0.890
O8 O 0.185 0.000 0.168
O9 O 0.318 0.500 0.847
O10 O 0.319 0.000 0.602
O11 O 0.319 0.500 0.355
O12 O 0.321 0.000 0.103
O13 O 0.429 0.000 0.039
O14 O 0.434 0.000 0.539
O15 O 0.434 0.500 0.788
O16 O 0.437 0.500 0.293
# Energy with MP2020 corrections = -417.61 eV per cell
# Energy relative to the elements = -58.591 eV per formula unit

=====

Record 2
# GGA+U Li7Mn12Cu5O32, optimized geometry
data_Li7Mn12Cu5O32
_chemical_formula_sum 'Li7 Mn12 Cu5 O32'
_cell_length_a 8.285
_cell_length_b 8.306
_cell_length_c 8.321
_cell_angle_alpha 89.95
_cell_angle_beta 89.95
_cell_angle_gamma 89.98
_space_group_name_H-M_alt 'P 1'
_space_group_IT_number 1
loop_
_space_group_symop_operation_xyz
'x,y,z'
loop_
_atom_site_label
_atom_site_type_symbol
_atom_site_fract_x
_atom_site_fract_y
_atom_site_fract_z
Li1 Li 0.000 0.000 0.000
Li2 Li 0.006 0.500 0.495
Li3 Li 0.131 0.630 0.123
Li4 Li 0.376 0.378 0.624
Li5 Li 0.501 0.506 0.995
Li6 Li 0.631 0.876 0.873
Li7 Li 0.879 0.130 0.370
Mn1 Mn 0.128 0.128 0.626
Mn2 Mn 0.128 0.374 0.870
Mn3 Mn 0.131 0.877 0.372
Mn4 Mn 0.375 0.129 0.875
Mn5 Mn 0.377 0.878 0.125
Mn6 Mn 0.378 0.631 0.371
Mn7 Mn 0.629 0.131 0.122
Mn8 Mn 0.630 0.380 0.369
Mn9 Mn 0.631 0.627 0.622
Mn10 Mn 0.874 0.376 0.122
Mn11 Mn 0.876 0.627 0.868
Mn12 Mn 0.881 0.875 0.624
Cu1 Cu 0.243 0.262 0.255
Cu2 Cu 0.262 0.743 0.756
Cu3 Cu 0.510 0.009 0.504
Cu4 Cu 0.746 0.247 0.740
Cu5 Cu 0.764 0.761 0.241
O1 O 0.106 0.377 0.106
O2 O 0.113 0.605 0.871
O3 O 0.118 0.888 0.612
O4 O 0.126 0.354 0.641
O5 O 0.133 0.112 0.396
O6 O 0.139 0.138 0.862
O7 O 0.148 0.881 0.147
O8 O 0.152 0.648 0.375
O9 O 0.355 0.359 0.875
O10 O 0.363 0.124 0.644
O11 O 0.370 0.869 0.364
O12 O 0.375 0.893 0.895
O13 O 0.382 0.652 0.142
O14 O 0.388 0.117 0.112
O15 O 0.392 0.400 0.370
O16 O 0.401 0.632 0.606
O17 O 0.606 0.130 0.888
O18 O 0.615 0.900 0.123
O19 O 0.618 0.617 0.383
O20 O 0.625 0.149 0.356
O21 O 0.630 0.393 0.600
O22 O 0.638 0.366 0.134
O23 O 0.646 0.625 0.847
O24 O 0.649 0.862 0.619
O25 O 0.855 0.147 0.120
O26 O 0.859 0.381 0.348
O27 O 0.867 0.639 0.632
O28 O 0.871 0.612 0.098
O29 O 0.881 0.854 0.853
O30 O 0.889 0.388 0.882
O31 O 0.894 0.105 0.626
O32 O 0.900 0.878 0.389
# Energy with MP2020 corrections = -402.76 eV per cell
# Energy relative to the elements = -100.624 eV per formula unit

=====

Record 3
# GGA+U LiFePO5, optimized geometry
data_LiFePO5
_chemical_formula_sum 'Li4 Fe4 P4 O20'
_cell_length_a 7.148
_cell_length_b 6.458
_cell_length_c 7.495
_cell_angle_alpha 90.00
_cell_angle_beta 90.00
_cell_angle_gamma 90.00
_space_group_name_H-M_alt 'P n m a'
_space_group_IT_number 62
loop_
_space_group_symop_operation_xyz
'x,y,z'
'-x,-y,-z'
'-x+1/2,-y,z+1/2'
'x+1/2,y,-z+1/2'
'x+1/2,-y+1/2,-z+1/2'
'-x+1/2,y+1/2,z+1/2'
'-x,y+1/2,-z'
'x,-y+1/2,z'
loop_
_atom_site_label
_atom_site_type_symbol
_atom_site_fract_x
_atom_site_fract_y
_atom_site_fract_z
Li1 Li 0.000 0.000 0.000
Fe1 Fe 0.143 0.250 0.272
P1 P 0.125 0.750 0.373
O1 O 0.056 0.250 0.517
O2 O 0.105 0.750 0.834
O3 O 0.130 0.560 0.246
O4 O 0.199 0.250 0.996
# Energy with MP2020 corrections = -231.68 eV per cell
# Energy relative to the elements = -17.389 eV per formula unit

=====

- Among the records above, which one has the lowest energy with MP2020 corrections?
  Li9Mn2Co5O16